Compound: Gd2W2O9
Source: the Materials Project database
Functional: PBE+U
Structure: optimized geometry

```
52
Lattice="-4.686 -5.289 6.870 4.390 -6.569 -5.891 5.917 0.198 4.188" Properties=species:S:1:pos:R:3 pbc="T T T"
Gd 4.173 -3.225 0.491
Gd 1.588 -2.853 4.215
Gd -1.124 -5.533 4.989
Gd 1.797 -5.428 7.135
Gd 3.824 -6.231 -1.968
Gd 6.745 -6.126 0.178
Gd 1.117 -8.904 -1.112
Gd 4.365 -8.337 6.740
W -0.283 -11.324 0.935
W 6.927 -3.185 2.883
W -1.172 -3.069 1.837
W 1.334 -5.879 1.533
W 4.287 -5.780 3.634
W 3.869 -8.688 1.260
W 1.617 -8.376 4.353
W 2.945 -0.434 2.138
O -0.194 -1.917 2.929
O 6.004 -2.181 1.614
O 2.900 -2.255 2.288
O 3.322 -1.817 5.454
O 2.486 -2.322 -0.908
O -0.067 -2.677 0.221
O 7.897 -4.196 1.552
O -2.185 -3.799 3.312
O 1.769 -4.698 0.077
O 3.917 -4.356 4.875
O 5.453 -4.581 2.659
O 0.233 -4.481 2.293
O 0.944 -4.609 5.207
O 4.724 -5.150 -0.197
O 2.828 -5.140 2.526
O 9.174 -5.854 -0.238
O -3.535 -5.076 5.344
O -0.203 -5.146 9.948
O 5.824 -6.513 -4.781
O 6.301 -6.679 -2.198
O -0.698 -5.710 7.425
O -0.165 -6.618 0.546
O 1.761 -7.147 -2.104
O 3.813 -6.412 7.428
O 4.701 -7.202 2.388
O 0.855 -7.056 2.994
O 2.444 -7.278 0.816
O 3.112 -6.986 4.566
O 0.639 -7.365 5.679
O 4.890 -7.957 -0.209
O 2.729 -9.081 2.852
O 2.527 -9.358 5.645
O 2.906 -9.821 0.143
O -0.237 -9.504 0.785
O 0.159 -9.460 3.937
O 5.273 -9.760 1.854
```

Computed properties:
For the raw total energy, the calculation gives -483.67 eV for the cell shown. The space-group type is C222_1, No. 20. The formation energy is -2.8750 eV/atom.



Compound: CoHO2
Source: the Materials Project database
Functional: PBE+U
Structure: optimized geometry

```
8
Lattice="1.302 -0.340 2.700 -2.922 -0.465 -0.284 1.937 -8.529 -3.644" Properties=species:S:1:pos:R:3 pbc="T T T"
Co -0.493 -4.497 -1.964
Co 1.302 -0.340 2.700
H 1.450 -6.918 -1.533
H -1.134 -2.416 0.304
O 1.076 -5.335 -1.183
O -1.330 -1.455 0.514
O 1.646 -7.879 -1.743
O -0.759 -3.998 -0.045
```

Computed properties:
For the raw total energy, the calculation gives -44.45 eV for the cell shown. The space-group type is P-1, No. 2. The formation energy is -1.2105 eV/atom.



Compound: CaV2O4
Source: the Materials Project database
Functional: PBE+U
Structure: optimized geometry

```
42
Lattice="3.142 5.474 0.000 -3.142 5.474 0.000 0.000 0.150 15.303" Properties=species:S:1:pos:R:3 pbc="T T T"
Ca 0.000 9.318 14.677
Ca 0.000 1.928 10.213
Ca 0.000 3.765 12.746
Ca 0.000 9.192 5.072
Ca 0.000 11.022 7.649
Ca 0.000 7.305 2.568
V 1.530 6.491 12.763
V 0.000 5.623 9.496
V 0.000 5.616 15.245
V -1.530 6.491 12.763
V -1.571 8.284 7.651
V 0.000 1.937 4.439
V 1.571 8.284 7.651
V -1.563 4.591 2.553
V 0.000 9.167 10.872
V 1.563 4.591 2.553
V 0.000 5.470 5.797
V 0.000 1.761 0.646
O 1.386 4.966 14.023
O 0.000 5.695 11.451
O -1.386 4.966 14.023
O 0.000 7.204 13.882
O -1.517 6.640 8.818
O 0.000 11.042 11.700
O 0.000 2.020 6.445
O -1.485 8.182 11.609
O 1.517 6.640 8.818
O 0.000 1.806 14.005
O 0.000 3.732 8.805
O 1.485 8.182 11.609
O -1.493 2.927 3.708
O 0.000 7.359 6.486
O -1.509 4.469 6.484
O 1.493 2.927 3.708
O 0.000 9.306 1.599
O 0.000 9.084 8.865
O 0.000 0.112 3.689
O 1.509 4.469 6.484
O 0.000 3.704 1.254
O 1.519 6.195 1.227
O 0.000 5.361 3.770
O -1.519 6.195 1.227
```

Computed properties:
For the raw total energy, the calculation gives -315.65 eV for the cell shown. The space-group type is Cm, No. 8. The formation energy is -2.6843 eV/atom.